Y2ZnIn: relaxed, r²SCAN.

The calculation puts the size of the total moment at 0.00 μB per formula unit. Its mass density is 6.0 g/cm³. For the volume, the calculation gives 24.7 Å³/atom. The calculation puts the energy of formation at -0.4983 eV per atom. For the total energy, the calculation gives -18.527 eV/atom.

The structure belongs to space group Fm-3m (No. 225); the cell edges are 7.343, 7.343 and 7.343 Å and the angles 90.00°, 90.00° and 90.00°. The asymmetric unit holds Y at (0.250, 0.250, 0.250), Zn at (0.000, 0.000, 0.000) and In at (0.000, 0.000, 0.500).